A geometry-optimized Na2Mg4Zr4SiS11O48 structure. Source: the Materials Project database, functional PBE.

Cell: 8.855 15.327 23.023 Å, 89.96 89.92 89.95°
Space group P1 (No. 1)
Inequivalent atoms, fractional coordinates:
Na  0.000  0.000  0.000
Na  0.000  0.001  0.491
Na  0.506  0.504  0.502
Na  0.506  0.509  0.995
Na  0.512  0.844  0.341
Na  0.997  0.342  0.832
Mg  0.000  0.005  0.352
Mg  0.000  0.679  0.021
Mg  0.001  0.006  0.647
Mg  0.002  0.003  0.850
Mg  0.499  0.172  0.310
Mg  0.499  0.505  0.349
Mg  0.501  0.509  0.148
Mg  0.502  0.837  0.978
Mg  0.505  0.506  0.646
Mg  0.506  0.508  0.853
Mg  0.507  0.843  0.477
Mg  0.999  0.005  0.151
Zr  0.000  0.340  0.193
Zr  0.000  0.678  0.813
Zr  0.500  0.840  0.688
Zr  0.505  0.174  0.520
Zr  0.505  0.841  0.183
Zr  0.506  0.176  0.020
Zr  0.510  0.176  0.810
Zr  0.992  0.341  0.476
Zr  0.992  0.341  0.683
Zr  0.992  0.344  0.978
Zr  0.995  0.681  0.311
Zr  0.998  0.683  0.519
Si  0.641  0.326  0.915
Si  0.700  0.346  0.581
Si  0.846  0.829  0.415
S  0.143  0.192  0.582
S  0.147  0.822  0.918
S  0.148  0.866  0.248
S  0.149  0.147  0.249
S  0.151  0.487  0.581
S  0.151  0.532  0.917
S  0.208  0.171  0.915
S  0.214  0.845  0.581
S  0.219  0.509  0.249
S  0.283  0.008  0.749
S  0.292  0.344  0.083
S  0.296  0.672  0.415
S  0.349  0.984  0.080
S  0.354  0.029  0.413
S  0.356  0.366  0.750
S  0.356  0.693  0.080
S  0.359  0.648  0.749
S  0.361  0.320  0.413
S  0.636  0.363  0.249
S  0.639  0.695  0.581
S  0.642  0.649  0.249
S  0.649  0.026  0.916
S  0.652  0.983  0.581
S  0.709  0.674  0.918
S  0.714  0.010  0.249
S  0.787  0.508  0.750
S  0.790  0.171  0.412
S  0.795  0.843  0.079
S  0.851  0.530  0.415
S  0.853  0.489  0.084
S  0.859  0.866  0.748
S  0.862  0.192  0.083
S  0.864  0.148  0.749
O  0.074  0.106  0.590
O  0.074  0.111  0.301
O  0.075  0.572  0.574
O  0.075  0.779  0.968
O  0.076  0.908  0.908
O  0.077  0.235  0.530
O  0.077  0.238  0.239
O  0.079  0.570  0.863
O  0.080  0.442  0.921
O  0.083  0.444  0.634
O  0.083  0.903  0.196
O  0.084  0.775  0.256
O  0.110  0.095  0.908
O  0.114  0.920  0.590
O  0.115  0.583  0.968
O  0.116  0.252  0.922
O  0.116  0.585  0.257
O  0.116  0.766  0.864
O  0.117  0.430  0.240
O  0.119  0.248  0.635
O  0.120  0.096  0.196
O  0.121  0.763  0.577
O  0.123  0.430  0.530
O  0.125  0.917  0.300
O  0.186  0.995  0.089
O  0.188  0.352  0.743
O  0.189  0.024  0.409
O  0.192  0.661  0.758
O  0.192  0.686  0.074
O  0.194  0.022  0.696
O  0.194  0.330  0.134
O  0.194  0.992  0.801
O  0.195  0.329  0.425
O  0.197  0.355  0.030
O  0.197  0.657  0.468
O  0.197  0.683  0.363
O  0.302  0.159  0.968
O  0.304  0.185  0.863
O  0.308  0.184  0.574
O  0.308  0.492  0.301
O  0.308  0.521  0.196
O  0.308  0.856  0.530
O  0.309  0.831  0.635
O  0.310  0.162  0.257
O  0.311  0.829  0.924
O  0.312  0.522  0.908
O  0.313  0.497  0.589
O  0.316  0.853  0.241
O  0.381  0.418  0.802
O  0.381  0.930  0.029
O  0.382  0.596  0.696
O  0.384  0.262  0.076
O  0.384  0.752  0.423
O  0.385  0.930  0.739
O  0.386  0.084  0.757
O  0.386  0.266  0.363
O  0.387  0.083  0.468
O  0.388  0.749  0.133
O  0.391  0.419  0.089
O  0.391  0.594  0.409
O  0.419  0.945  0.133
O  0.420  0.403  0.697
O  0.420  0.941  0.422
O  0.421  0.275  0.757
O  0.422  0.072  0.073
O  0.423  0.738  0.739
O  0.425  0.070  0.363
O  0.426  0.606  0.089
O  0.427  0.279  0.467
O  0.427  0.408  0.409
O  0.427  0.611  0.801
O  0.428  0.736  0.029
O  0.568  0.420  0.911
O  0.572  0.609  0.591
O  0.574  0.404  0.196
O  0.575  0.272  0.972
O  0.575  0.737  0.530
O  0.576  0.612  0.301
O  0.577  0.275  0.258
O  0.577  0.740  0.242
O  0.578  0.070  0.575
O  0.578  0.941  0.924
O  0.579  0.069  0.863
O  0.582  0.943  0.635
O  0.599  0.431  0.586
O  0.607  0.256  0.571
O  0.612  0.928  0.240
O  0.613  0.084  0.257
O  0.613  0.597  0.908
O  0.614  0.260  0.859
O  0.615  0.599  0.196
O  0.616  0.751  0.635
O  0.618  0.084  0.967
O  0.620  0.754  0.923
O  0.621  0.419  0.301
O  0.622  0.929  0.531
O  0.667  0.828  0.419
O  0.687  0.519  0.408
O  0.688  0.495  0.090
O  0.692  0.853  0.740
O  0.695  0.185  0.076
O  0.695  0.188  0.362
O  0.695  0.857  0.029
O  0.696  0.160  0.755
O  0.697  0.160  0.467
O  0.697  0.493  0.802
O  0.697  0.830  0.133
O  0.701  0.521  0.697
O  0.803  0.020  0.196
O  0.806  0.991  0.300
O  0.807  0.686  0.575
O  0.808  0.354  0.239
O  0.809  0.659  0.255
O  0.809  0.659  0.968
O  0.810  0.686  0.864
O  0.813  0.328  0.638
O  0.814  0.021  0.909
O  0.815  0.995  0.591
O  0.820  0.355  0.526
O  0.828  0.329  0.922
O  0.880  0.918  0.801
O  0.882  0.430  0.031
O  0.882  0.583  0.468
O  0.886  0.764  0.074
O  0.888  0.249  0.134
O  0.888  0.251  0.423
O  0.890  0.096  0.408
O  0.890  0.585  0.758
O  0.890  0.921  0.089
O  0.891  0.761  0.360
O  0.892  0.099  0.696
O  0.893  0.430  0.744
O  0.920  0.570  0.363
O  0.922  0.444  0.134
O  0.924  0.776  0.757
O  0.925  0.443  0.421
O  0.925  0.573  0.074
O  0.926  0.110  0.802
O  0.926  0.774  0.471
O  0.926  0.904  0.696
O  0.927  0.236  0.030
O  0.929  0.106  0.089
O  0.930  0.239  0.745
O  0.936  0.919  0.411

Properties
As for the magnetization: 0.000 μB/f.u. The total energy comes out at -6.75 eV/atom.